Record 1
The following is a PBE+U calculation of crystalline VNiH14O8F4 at its relaxed geometry, from Materials Project.

M_tot in μB per cell: 12.1
Energy relative to the elements in kJ/mol of atoms: -156
Theoretical density in g/cm3: 2.2
Electronic total energy in eV/atom: -5.12

a = 6.508 Å, b = 11.170 Å, c = 14.087 Å
α = 89.26°, β = 89.04°, γ = 79.15°
Element x y z (fractional)
V1 0.006 0.263 0.234
V2 0.013 0.766 0.259
V3 0.987 0.234 0.741
V4 0.994 0.737 0.766
Ni1 0.500 0.000 0.000
Ni2 0.500 0.000 0.500
Ni3 0.500 0.500 0.000
Ni4 0.500 0.500 0.500
H1 0.022 0.029 0.322
H2 0.048 0.464 0.807
H3 0.098 0.091 0.063
H4 0.100 0.611 0.452
H5 0.103 0.111 0.951
H6 0.104 0.597 0.564
H7 0.116 0.124 0.446
H8 0.125 0.628 0.950
H9 0.168 0.683 0.052
H10 0.170 0.188 0.542
H11 0.180 0.891 0.634
H12 0.202 0.369 0.867
H13 0.238 0.362 0.045
H14 0.273 0.860 0.411
H15 0.304 0.871 0.882
H16 0.305 0.361 0.386
H17 0.320 0.860 0.122
H18 0.321 0.366 0.630
H19 0.386 0.035 0.684
H20 0.397 0.536 0.185
H21 0.417 0.275 0.989
H22 0.425 0.585 0.816
H23 0.427 0.777 0.482
H24 0.446 0.088 0.320
H25 0.447 0.625 0.335
H26 0.450 0.135 0.840
H27 0.456 0.655 0.647
H28 0.457 0.145 0.152
H29 0.543 0.855 0.848
H30 0.544 0.345 0.353
H31 0.550 0.865 0.160
H32 0.553 0.375 0.665
H33 0.554 0.912 0.680
H34 0.573 0.223 0.518
H35 0.575 0.415 0.184
H36 0.583 0.725 0.011
H37 0.603 0.464 0.815
H38 0.614 0.965 0.316
H39 0.679 0.634 0.370
H40 0.680 0.140 0.878
H41 0.695 0.639 0.614
H42 0.696 0.129 0.118
H43 0.727 0.140 0.589
H44 0.762 0.638 0.955
H45 0.798 0.631 0.133
H46 0.820 0.109 0.366
H47 0.830 0.812 0.458
H48 0.832 0.317 0.948
H49 0.875 0.372 0.050
H50 0.884 0.876 0.554
H51 0.896 0.403 0.436
H52 0.897 0.889 0.049
H53 0.900 0.389 0.548
H54 0.902 0.909 0.937
H55 0.952 0.536 0.193
H56 0.978 0.971 0.678
O1 0.035 0.887 0.654
O2 0.038 0.364 0.149
O3 0.122 0.875 0.306
O4 0.131 0.381 0.805
O5 0.185 0.071 0.004
O6 0.185 0.571 0.505
O7 0.212 0.614 0.008
O8 0.219 0.121 0.498
O9 0.328 0.356 0.987
O10 0.343 0.859 0.473
O11 0.443 0.964 0.643
O12 0.448 0.363 0.409
O13 0.448 0.871 0.904
O14 0.460 0.380 0.609
O15 0.462 0.869 0.103
O16 0.490 0.478 0.144
O17 0.510 0.522 0.856
O18 0.538 0.131 0.897
O19 0.540 0.620 0.391
O20 0.552 0.129 0.096
O21 0.552 0.637 0.591
O22 0.557 0.036 0.357
O23 0.657 0.141 0.527
O24 0.672 0.644 0.013
O25 0.781 0.879 0.502
O26 0.788 0.386 0.992
O27 0.815 0.429 0.495
O28 0.815 0.929 0.996
O29 0.869 0.619 0.195
O30 0.878 0.125 0.694
O31 0.962 0.636 0.851
O32 0.965 0.113 0.346
F1 0.061 0.349 0.347
F2 0.061 0.862 0.849
F3 0.077 0.802 0.125
F4 0.082 0.302 0.623
F5 0.257 0.634 0.258
F6 0.273 0.143 0.757
F7 0.290 0.168 0.242
F8 0.292 0.685 0.740
F9 0.708 0.315 0.260
F10 0.710 0.832 0.758
F11 0.727 0.857 0.243
F12 0.743 0.366 0.742
F13 0.918 0.698 0.377
F14 0.923 0.198 0.875
F15 0.939 0.138 0.151
F16 0.939 0.651 0.653

Record 2
The following is a PBE+U calculation of crystalline RbVH4O2F4 at its relaxed geometry, from Materials Project.

Energy relative to the elements in kJ/mol of atoms: -218
Theoretical density in g/cm3: 2.7
Electronic total energy in eV/atom: -5.28

a = 6.489 Å, b = 6.834 Å, c = 15.460 Å
α = 84.83°, β = 90.03°, γ = 118.35°
Element x y z (fractional)
Rb1 0.403 0.250 0.375
Rb2 0.903 0.250 0.875
Rb3 0.097 0.750 0.125
Rb4 0.597 0.750 0.625
V1 0.250 0.000 0.750
V2 0.000 0.500 0.500
V3 0.750 0.000 0.250
V4 0.500 0.500 0.000
H1 0.813 0.053 0.421
H2 0.313 0.053 0.921
H3 0.010 0.447 0.329
H4 0.509 0.447 0.829
H5 0.687 0.947 0.079
H6 0.187 0.947 0.579
H7 0.491 0.553 0.171
H8 0.990 0.553 0.671
H9 0.821 0.825 0.406
H10 0.320 0.825 0.907
H11 0.246 0.675 0.343
H12 0.745 0.675 0.844
H13 0.680 0.175 0.093
H14 0.179 0.175 0.593
H15 0.254 0.325 0.157
H16 0.754 0.325 0.657
O1 0.856 0.976 0.378
O2 0.356 0.976 0.878
O3 0.130 0.524 0.372
O4 0.630 0.524 0.872
O5 0.644 0.024 0.122
O6 0.144 0.024 0.622
O7 0.370 0.476 0.128
O8 0.870 0.476 0.628
F1 0.825 0.309 0.262
F2 0.324 0.308 0.762
F3 0.767 0.192 0.488
F4 0.266 0.191 0.989
F5 0.676 0.692 0.238
F6 0.176 0.692 0.738
F7 0.734 0.808 0.012
F8 0.234 0.809 0.512
F9 0.776 0.599 0.459
F10 0.275 0.599 0.959
F11 0.426 0.901 0.290
F12 0.926 0.900 0.791
F13 0.724 0.401 0.041
F14 0.225 0.401 0.541
F15 0.073 0.099 0.209
F16 0.573 0.099 0.710

Record 3
The following is a PBE+U calculation of crystalline VH6O3F3 at its relaxed geometry, from Materials Project.

M_tot in μB per cell: 2.0
Offset from the most stable computed form in eV per atom: 0.8731
Energy relative to the elements in kJ/mol of atoms: -98
Theoretical density in g/cm3: 0.8
Electronic total energy in eV/atom: -4.59

a = 7.556 Å, b = 7.643 Å, c = 7.979 Å
α = 117.48°, β = 116.81°, γ = 90.77°
Element x y z (fractional)
V1 0.000 0.000 0.000
H1 0.016 0.689 0.492
H2 0.125 0.752 0.554
H3 0.518 0.195 0.505
H4 0.565 0.195 0.439
H5 0.575 0.698 0.940
H6 0.636 0.759 0.063
O1 0.184 0.399 0.895
O2 0.281 0.498 0.098
O3 0.897 0.181 0.999
F1 0.060 0.007 0.243
F2 0.227 0.042 0.996
F3 0.823 0.767 0.761

Record 4
The following is a PBE+U calculation of crystalline VH6O3F3 at its relaxed geometry, from Materials Project.

M_tot in μB per cell: 0.0
Offset from the most stable computed form in eV per atom: 0.0000
Energy relative to the elements in kJ/mol of atoms: -182
Theoretical density in g/cm3: 2.1
Electronic total energy in eV/atom: -5.34

a = 5.060 Å, b = 5.060 Å, c = 20.235 Å
α = 91.61°, β = 91.61°, γ = 91.69°
Element x y z (fractional)
V1 0.000 0.000 0.000
V2 0.000 0.000 0.249
V3 0.000 0.000 0.500
V4 0.001 0.001 0.750
H1 0.183 0.548 0.193
H2 0.183 0.775 0.387
H3 0.183 0.776 0.887
H4 0.183 0.777 0.137
H5 0.184 0.548 0.944
H6 0.184 0.549 0.444
H7 0.184 0.549 0.693
H8 0.184 0.778 0.637
H9 0.548 0.183 0.193
H10 0.548 0.184 0.944
H11 0.548 0.775 0.295
H12 0.548 0.776 0.046
H13 0.548 0.776 0.546
H14 0.549 0.184 0.444
H15 0.549 0.184 0.693
H16 0.549 0.777 0.796
H17 0.775 0.183 0.387
H18 0.775 0.548 0.295
H19 0.776 0.183 0.887
H20 0.776 0.548 0.046
H21 0.776 0.548 0.546
H22 0.777 0.183 0.137
H23 0.777 0.549 0.796
H24 0.778 0.184 0.637
O1 0.126 0.729 0.182
O2 0.127 0.729 0.932
O3 0.128 0.730 0.432
O4 0.130 0.731 0.682
O5 0.729 0.126 0.182
O6 0.729 0.127 0.932
O7 0.729 0.729 0.032
O8 0.729 0.729 0.282
O9 0.729 0.729 0.532
O10 0.730 0.128 0.432
O11 0.731 0.130 0.682
O12 0.731 0.731 0.782
F1 0.260 0.260 0.216
F2 0.260 0.870 0.315
F3 0.261 0.261 0.716
F4 0.262 0.262 0.469
F5 0.262 0.262 0.968
F6 0.262 0.872 0.065
F7 0.262 0.872 0.565
F8 0.262 0.873 0.815
F9 0.870 0.260 0.315
F10 0.872 0.262 0.065
F11 0.872 0.262 0.565
F12 0.873 0.262 0.815

Record 5
The following is a PBE+U calculation of crystalline Hf3MnF6 at its relaxed geometry, from Materials Project.

M_tot in μB per cell: 5.1
Offset from the most stable computed form in eV per atom: 0.1326
Energy relative to the elements in kJ/mol of atoms: -188
Theoretical density in g/cm3: 2.8
Electronic total energy in eV/atom: -6.55

a = 5.982 Å, b = 6.104 Å, c = 12.809 Å
α = 84.58°, β = 81.21°, γ = 64.39°
Element x y z (fractional)
Hf1 0.000 0.000 0.000
Hf2 0.000 0.500 0.500
Hf3 0.500 0.000 0.500
Mn1 0.000 0.000 0.500
F1 0.011 0.945 0.854
F2 0.184 0.568 0.597
F3 0.391 0.959 0.648
F4 0.609 0.041 0.352
F5 0.816 0.432 0.403
F6 0.989 0.055 0.146

Record 6
The following is a PBE+U calculation of crystalline Hf3MnF6 at its relaxed geometry, from Materials Project.

M_tot in μB per cell: 4.5
Offset from the most stable computed form in eV per atom: 0.0000
Energy relative to the elements in kJ/mol of atoms: -200
Theoretical density in g/cm3: 3.5
Electronic total energy in eV/atom: -6.69

a = 5.899 Å, b = 7.612 Å, c = 8.099 Å
α = 93.47°, β = 90.71°, γ = 112.66°
Element x y z (fractional)
Hf1 0.000 0.000 0.000
Hf2 0.000 0.500 0.500
Hf3 0.500 0.000 0.000
Mn1 0.000 0.500 0.000
F1 0.013 0.551 0.741
F2 0.134 0.277 0.958
F3 0.350 0.725 0.047
F4 0.650 0.275 0.953
F5 0.866 0.723 0.042
F6 0.987 0.449 0.259

Record 7
The following is a PBE+U calculation of crystalline HfMnF6 at its relaxed geometry, from Materials Project.

Energy relative to the elements in kJ/mol of atoms: -363
Theoretical density in g/cm3: 4.0
Electronic total energy in eV/atom: -7.03

a = 5.863 Å, b = 5.863 Å, c = 5.863 Å
α = 60.00°, β = 60.00°, γ = 60.00°
Element x y z (fractional)
Hf1 0.000 0.000 0.000
Mn1 0.500 0.500 0.500
F1 0.242 0.242 0.758
F2 0.242 0.758 0.242
F3 0.242 0.758 0.758
F4 0.758 0.242 0.242
F5 0.758 0.242 0.758
F6 0.758 0.758 0.242

Record 8
The following is a PBE+U calculation of crystalline NaHf2VF11 at its relaxed geometry, from Materials Project.

M_tot in μB per cell: 3.0
Energy relative to the elements in kJ/mol of atoms: -369
Theoretical density in g/cm3: 4.8
Electronic total energy in eV/atom: -6.80

a = 5.758 Å, b = 5.758 Å, c = 7.817 Å
α = 110.50°, β = 110.50°, γ = 73.13°
Element x y z (fractional)
Na1 0.000 0.000 0.000
Hf1 0.496 0.496 0.766
Hf2 0.504 0.504 0.234
V1 0.000 0.000 0.500
F1 0.198 0.777 0.693
F2 0.223 0.802 0.307
F3 0.254 0.254 0.649
F4 0.269 0.269 0.112
F5 0.332 0.668 0.000
F6 0.500 0.500 0.500
F7 0.668 0.332 0.000
F8 0.731 0.731 0.888
F9 0.746 0.746 0.351
F10 0.777 0.198 0.693
F11 0.802 0.223 0.307